# PBE with a Hubbard U KMnP3HO10, relaxed
data_KMnP3HO10
_symmetry_space_group_name_H-M 'P 1'
_symmetry_Int_Tables_number 1
_cell_length_a 8.348
_cell_length_b 9.395
_cell_length_c 12.347
_cell_angle_alpha 69.70
_cell_angle_beta 90.00
_cell_angle_gamma 90.00
loop_
_symmetry_equiv_pos_as_xyz
'x,y,z'
loop_
_atom_site_label
_atom_site_type_symbol
_atom_site_fract_x
_atom_site_fract_y
_atom_site_fract_z
O1 O 0.011 0.801 0.083
O2 O 0.708 0.381 0.320
O3 O 0.292 0.619 0.680
O4 O 0.722 0.610 0.567
O5 O 0.792 0.619 0.180
O6 O 0.511 0.801 0.583
O7 O 0.437 0.400 0.216
O8 O 0.792 0.881 0.820
O9 O 0.278 0.110 0.567
O10 O 0.937 0.100 0.284
O11 O 0.063 0.900 0.716
O12 O 0.610 0.321 0.762
O13 O 0.937 0.400 0.716
O14 O 0.292 0.881 0.320
O15 O 0.610 0.179 0.238
O16 O 0.989 0.301 0.083
O17 O 0.778 0.110 0.067
O18 O 0.890 0.821 0.262
O19 O 0.489 0.199 0.417
O20 O 0.890 0.679 0.738
O21 O 0.222 0.890 0.933
O22 O 0.390 0.821 0.762
O23 O 0.563 0.600 0.784
O24 O 0.278 0.390 0.433
O25 O 0.208 0.381 0.820
O26 O 0.011 0.699 0.917
O27 O 0.110 0.321 0.262
O28 O 0.511 0.699 0.417
O29 O 0.722 0.890 0.433
O30 O 0.222 0.610 0.067
O31 O 0.708 0.119 0.680
O32 O 0.778 0.390 0.933
O33 O 0.563 0.900 0.216
O34 O 0.489 0.301 0.583
O35 O 0.208 0.119 0.180
O36 O 0.110 0.179 0.738
O37 O 0.989 0.199 0.917
O38 O 0.390 0.679 0.238
O39 O 0.437 0.100 0.784
O40 O 0.063 0.600 0.284
H1 H 0.250 0.000 0.250
H2 H 0.750 0.500 0.250
H3 H 0.750 0.000 0.750
H4 H 0.250 0.500 0.750
Mn1 Mn 0.250 0.500 0.250
Mn2 Mn 0.250 0.000 0.750
Mn3 Mn 0.750 0.000 0.250
Mn4 Mn 0.750 0.500 0.750
P1 P 0.066 0.205 0.207
P2 P 0.434 0.705 0.707
P3 P 0.129 0.750 0.000
P4 P 0.066 0.295 0.793
P5 P 0.934 0.795 0.793
P6 P 0.434 0.795 0.293
P7 P 0.934 0.705 0.207
P8 P 0.566 0.205 0.707
P9 P 0.566 0.295 0.293
P10 P 0.629 0.750 0.500
P11 P 0.871 0.250 0.000
P12 P 0.371 0.250 0.500
K1 K 0.057 0.750 0.500
K2 K 0.557 0.750 0.000
K3 K 0.943 0.250 0.500
K4 K 0.443 0.250 0.000
# **Total magnetic moment**: 0.0 μB per cell
# **DFT formation energy**: -2.475 eV per atom

# PBE with a Hubbard U Li2FePCO7, relaxed
data_Li2FePCO7
_symmetry_space_group_name_H-M 'P 1'
_symmetry_Int_Tables_number 1
_cell_length_a 5.086
_cell_length_b 8.492
_cell_length_c 12.797
_cell_angle_alpha 96.40
_cell_angle_beta 93.65
_cell_angle_gamma 94.73
loop_
_symmetry_equiv_pos_as_xyz
'x,y,z'
loop_
_atom_site_label
_atom_site_type_symbol
_atom_site_fract_x
_atom_site_fract_y
_atom_site_fract_z
O1 O 0.856 0.687 0.430
O2 O 0.418 0.192 0.337
O3 O 0.534 0.485 0.570
O4 O 0.373 0.949 0.846
O5 O 0.677 0.114 0.082
O6 O 0.618 0.113 0.561
O7 O 0.087 0.362 0.483
O8 O 0.814 0.440 0.792
O9 O 0.555 0.475 0.061
O10 O 0.524 0.852 0.065
O11 O 0.152 0.612 0.121
O12 O 0.873 0.680 0.932
O13 O 0.108 0.607 0.617
O14 O 0.484 0.848 0.541
O15 O 0.223 0.339 0.674
O16 O 0.871 0.931 0.622
O17 O 0.951 0.918 0.099
O18 O 0.409 0.569 0.858
O19 O 0.720 0.717 0.747
O20 O 0.461 0.214 0.852
O21 O 0.091 0.371 0.985
O22 O 0.044 0.115 0.830
O23 O 0.255 0.934 0.323
O24 O 0.244 0.342 0.175
O25 O 0.696 0.709 0.239
O26 O 0.985 0.134 0.321
O27 O 0.394 0.575 0.357
O28 O 0.799 0.441 0.296
Li1 Li 0.721 0.271 0.982
Li2 Li 0.750 0.204 0.439
Li3 Li 0.258 0.778 0.930
Li4 Li 0.350 0.807 0.198
Li5 Li 0.757 0.946 0.783
Li6 Li 0.619 0.299 0.667
Li7 Li 0.222 0.780 0.426
Li8 Li 0.596 0.251 0.207
C1 C 0.721 0.969 0.082
C2 C 0.291 0.085 0.844
C3 C 0.217 0.079 0.327
C4 C 0.653 0.970 0.573
P1 P 0.232 0.451 0.586
P2 P 0.690 0.604 0.331
P3 P 0.704 0.601 0.832
P4 P 0.259 0.450 0.086
Fe1 Fe 0.768 0.690 0.589
Fe2 Fe 0.794 0.681 0.087
Fe3 Fe 0.159 0.373 0.330
Fe4 Fe 0.169 0.367 0.829
# **E above lowest polymorph**: 5 meV per atom
# **Total magnetic moment**: 20.0 μB per cell
# **DFT formation energy**: -2.290 eV per atom